{"formula": "VCl3", "functional": "PBE", "state": "optimized geometry", "rho_g_cm3": 2.48, "final_energy_ev_per_atom": -4.896, "energy_corrected_mp2020_ev_per_atom": -5.36, "ef_ev_per_atom": -1.699, "sg": "R-3 (148)", "lattice": [[-1.890, -4.283, -3.899], [1.537, 0.346, -5.885], [5.293, -4.799, -2.054]], "species": ["V", "V", "Cl", "Cl", "Cl", "Cl", "Cl", "Cl"], "frac_coords": [[0.333, 0.333, 0.000], [0.667, 0.667, 0.000], [0.069, 0.711, 0.792], [0.428, 0.069, 0.792], [0.289, 0.572, 0.208], [0.572, 0.931, 0.208], [0.931, 0.289, 0.208], [0.711, 0.428, 0.792]]}